Below is TmAl3Ni2 after structural relaxation, with properties calculated at the meta-GGA r2SCAN level.

a b c (Å): 8.8971 8.8971 4.0262
angles (deg): 90.00 90.00 120.00
Space group P6/mmm (No. 191)
Symmetry-distinct sites (fractional):
1 Tm 0.0000 0.0000 0.0000 (multiplicity 1)
2 Tm 0.3333 0.6667 0.5000 (multiplicity 2)
3 Al 0.0000 0.2977 0.5000 (multiplicity 6)
4 Al 0.0000 0.5000 0.0000 (multiplicity 3)
5 Ni 0.1807 0.3615 0.0000 (multiplicity 6)

Energy of formation: -700 meV per atom
Crystal system: hexagonal
Volume: 276.01 Å³/cell
Theoretical density: 6629 kg/m3